Entry 1:
Density functional theory data (PBE with a Hubbard U) for an optimized crystal structure of Ti3Fe2Bi6O18.

Calculated values
Crystal system: monoclinic
Energy of formation from the pure elements (eV per atom): -2.20
Size of the total moment (μB/f.u.): 10.00

Cell lengths 4.000, 4.000, 24.669 Å; angles 94.32, 94.32, 88.29 degrees
Sites, in units of the cell vectors:
Ti: 0.000 0.000 0.000
Ti: 0.088 0.088 0.167
Ti: 0.333 0.333 0.668
Fe: 0.160 0.160 0.332
Fe: 0.245 0.245 0.498
Bi: 0.542 0.542 0.887
Bi: 0.601 0.601 0.081
Bi: 0.692 0.692 0.258
Bi: 0.785 0.785 0.425
Bi: 0.865 0.865 0.589
Bi: 0.984 0.984 0.785
O: 0.027 0.543 0.166
O: 0.069 0.069 0.246
O: 0.109 0.638 0.324
O: 0.158 0.158 0.412
O: 0.191 0.724 0.491
O: 0.239 0.239 0.578
O: 0.281 0.798 0.654
O: 0.335 0.335 0.740
O: 0.462 0.960 0.834
O: 0.472 0.957 0.013
O: 0.543 0.027 0.166
O: 0.638 0.109 0.324
O: 0.724 0.191 0.491
O: 0.798 0.281 0.654
O: 0.927 0.927 0.927
O: 0.957 0.472 0.013
O: 0.960 0.462 0.834
O: 0.986 0.986 0.088

***

Entry 2:
Density functional theory data (PBE with a Hubbard U) for an optimized crystal structure of TiFeBi2O6.

Calculated values
Crystal system: triclinic
Energy of formation from the pure elements (eV per atom): -1.59
Size of the total moment (μB/f.u.): 4.00

Cell lengths 5.924, 6.158, 7.024 Å; angles 115.31, 92.10, 115.27 degrees
Sites, in units of the cell vectors:
Ti: 0.000 0.000 0.000
Fe: 0.667 0.345 0.995
Bi: 0.273 0.661 0.629
Bi: 0.834 0.109 0.525
O: 0.050 0.889 0.463
O: 0.057 0.239 0.286
O: 0.326 0.050 0.954
O: 0.782 0.664 0.961
O: 0.841 0.123 0.862
O: 0.934 0.692 0.549

***

Entry 3:
Density functional theory data (PBE with a Hubbard U) for an optimized crystal structure of Ti3Fe3Bi7O21.

Calculated values
Crystal system: monoclinic
Energy of formation from the pure elements (eV per atom): -2.11
Size of the total moment (μB/f.u.): 15.00

Cell lengths 4.041, 4.041, 28.391 Å; angles 93.97, 93.97, 88.01 degrees
Sites, in units of the cell vectors:
Ti: 0.000 0.000 0.000
Ti: 0.122 0.122 0.286
Ti: 0.361 0.361 0.717
Fe: 0.046 0.046 0.145
Fe: 0.178 0.178 0.428
Fe: 0.266 0.266 0.572
Bi: 0.002 0.002 0.815
Bi: 0.549 0.549 0.903
Bi: 0.596 0.596 0.068
Bi: 0.646 0.646 0.210
Bi: 0.717 0.717 0.364
Bi: 0.807 0.807 0.508
Bi: 0.892 0.892 0.650
O: 0.027 0.027 0.218
O: 0.057 0.572 0.286
O: 0.091 0.091 0.355
O: 0.122 0.654 0.423
O: 0.175 0.175 0.498
O: 0.207 0.741 0.567
O: 0.262 0.262 0.641
O: 0.306 0.821 0.706
O: 0.352 0.352 0.779
O: 0.468 0.951 0.010
O: 0.469 0.968 0.859
O: 0.526 0.992 0.150
O: 0.572 0.057 0.286
O: 0.654 0.122 0.423
O: 0.741 0.207 0.567
O: 0.821 0.306 0.706
O: 0.929 0.929 0.937
O: 0.951 0.468 0.010
O: 0.968 0.469 0.859
O: 0.974 0.974 0.076
O: 0.992 0.526 0.150

***

Entry 4:
Density functional theory data (PBE with a Hubbard U) for an optimized crystal structure of KSrMnBiO6.

Calculated values
Crystal system: cubic
Energy of formation from the pure elements (eV per atom): -1.89
Size of the total moment (μB/f.u.): 3.03

Cell lengths 5.787, 5.787, 5.787 Å; angles 60.00, 60.00, 60.00 degrees
Sites, in units of the cell vectors:
K: 0.000 0.000 0.000
Sr: 0.500 0.500 0.500
Mn: 0.750 0.750 0.750
Bi: 0.250 0.250 0.250
O: 0.511 0.511 0.989
O: 0.511 0.989 0.511
O: 0.511 0.989 0.989
O: 0.989 0.511 0.511
O: 0.989 0.511 0.989
O: 0.989 0.989 0.511

***

Entry 5:
Density functional theory data (PBE with a Hubbard U) for an optimized crystal structure of KMnBiWO6.

Calculated values
Crystal system: cubic
Energy of formation from the pure elements (eV per atom): -1.90
Size of the total moment (μB/f.u.): 4.99

Cell lengths 5.754, 5.754, 5.754 Å; angles 60.00, 60.00, 60.00 degrees
Sites, in units of the cell vectors:
K: 0.000 0.000 0.000
Mn: 0.750 0.750 0.750
Bi: 0.500 0.500 0.500
W: 0.250 0.250 0.250
O: 0.011 0.011 0.489
O: 0.011 0.489 0.011
O: 0.011 0.489 0.489
O: 0.489 0.011 0.011
O: 0.489 0.011 0.489
O: 0.489 0.489 0.011